# 1
Material: CaTiS3O12
Method: DFT, GGA-PBE
State: relaxed

* energy relative to the elements: -2.387 eV/atom

a = 8.9917 Å, b = 8.9917 Å, c = 22.2900 Å
α = 90.00°, β = 90.00°, γ = 120.00°
Fractional coordinates of all 102 atoms:
Ca  0.0000  0.0000  0.3652
Ca  0.0000  0.0000  0.8652
Ca  0.6667  0.3333  0.6986
Ca  0.6667  0.3333  0.1986
Ca  0.3333  0.6667  0.0319
Ca  0.3333  0.6667  0.5319
Ti  0.0000  0.0000  0.6433
Ti  0.0000  0.0000  0.1433
Ti  0.6667  0.3333  0.9766
Ti  0.6667  0.3333  0.4766
Ti  0.3333  0.6667  0.3099
Ti  0.3333  0.6667  0.8099
S  0.2666  0.9659  0.2499
S  0.6993  0.7334  0.2499
S  0.0341  0.3007  0.2499
S  0.2666  0.3007  0.7499
S  0.0341  0.7334  0.7499
S  0.6993  0.9659  0.7499
S  0.9333  0.2992  0.5833
S  0.3659  0.0667  0.5833
S  0.7008  0.6341  0.5833
S  0.9333  0.6341  0.0833
S  0.7008  0.0667  0.0833
S  0.3659  0.2992  0.0833
S  0.5999  0.6325  0.9166
S  0.0326  0.4001  0.9166
S  0.3675  0.9674  0.9166
S  0.5999  0.9674  0.4166
S  0.3675  0.4001  0.4166
S  0.0326  0.6325  0.4166
O  0.2003  0.0017  0.3036
O  0.8014  0.7997  0.3036
O  0.9983  0.1986  0.3036
O  0.2003  0.1986  0.8036
O  0.9983  0.7997  0.8036
O  0.8014  0.0017  0.8036
O  0.7871  0.9378  0.6969
O  0.1507  0.2129  0.6969
O  0.0622  0.8493  0.6969
O  0.7871  0.8493  0.1969
O  0.0622  0.2129  0.1969
O  0.1507  0.9378  0.1969
O  0.8670  0.3350  0.6369
O  0.4681  0.1330  0.6369
O  0.6650  0.5319  0.6369
O  0.8670  0.5319  0.1369
O  0.6650  0.1330  0.1369
O  0.4681  0.3350  0.1369
O  0.4537  0.2711  0.0302
O  0.8174  0.5463  0.0302
O  0.7289  0.1826  0.0302
O  0.4537  0.1826  0.5302
O  0.7289  0.5463  0.5302
O  0.8174  0.2711  0.5302
O  0.5336  0.6684  0.9703
O  0.1347  0.4664  0.9703
O  0.3316  0.8653  0.9703
O  0.5336  0.8653  0.4703
O  0.3316  0.4664  0.4703
O  0.1347  0.6684  0.4703
O  0.1204  0.6045  0.3635
O  0.4841  0.8796  0.3635
O  0.3955  0.5159  0.3635
O  0.1204  0.5159  0.8635
O  0.3955  0.8796  0.8635
O  0.4841  0.6045  0.8635
O  0.9863  0.7624  0.4045
O  0.7761  0.0137  0.4045
O  0.2376  0.2239  0.4045
O  0.9863  0.2239  0.9045
O  0.2376  0.0137  0.9045
O  0.7761  0.7624  0.9045
O  0.9310  0.1286  0.5922
O  0.1976  0.0690  0.5922
O  0.8714  0.8024  0.5922
O  0.9310  0.8024  0.0922
O  0.8714  0.0690  0.0922
O  0.1976  0.1286  0.0922
O  0.6530  0.0958  0.7378
O  0.4428  0.3470  0.7378
O  0.9042  0.5572  0.7378
O  0.6530  0.5572  0.2378
O  0.9042  0.3470  0.2378
O  0.4428  0.0958  0.2378
O  0.5977  0.4620  0.9256
O  0.8643  0.4023  0.9256
O  0.5380  0.1357  0.9256
O  0.5977  0.1357  0.4256
O  0.5380  0.4023  0.4256
O  0.8643  0.4620  0.4256
O  0.3197  0.4291  0.0712
O  0.1094  0.6803  0.0712
O  0.5709  0.8906  0.0712
O  0.3197  0.8906  0.5712
O  0.5709  0.6803  0.5712
O  0.1094  0.4291  0.5712
O  0.2643  0.7953  0.2589
O  0.5310  0.7357  0.2589
O  0.2047  0.4690  0.2589
O  0.2643  0.4690  0.7589
O  0.2047  0.7357  0.7589
O  0.5310  0.7953  0.7589

---

# 2
Material: CaSb2O4
Method: DFT, GGA-PBE
State: relaxed

* energy relative to the elements: -1.945 eV/atom

a = 5.8439 Å, b = 5.8439 Å, c = 11.2230 Å
α = 90.00°, β = 90.00°, γ = 146.83°
Fractional coordinates of all 14 atoms:
Ca  0.1145  0.8855  0.7500
Ca  0.8855  0.1145  0.2500
Sb  0.3676  0.6324  0.5779
Sb  0.3676  0.6324  0.9221
Sb  0.6324  0.3676  0.0779
Sb  0.6324  0.3676  0.4221
O  0.0000  0.0000  0.0000
O  0.0000  0.0000  0.5000
O  0.2712  0.7288  0.1218
O  0.2712  0.7288  0.3782
O  0.4623  0.5377  0.7500
O  0.5377  0.4623  0.2500
O  0.7288  0.2712  0.6218
O  0.7288  0.2712  0.8782

---

# 3
Material: CaSb4O8
Method: DFT, GGA-PBE
State: relaxed

* energy relative to the elements: -1.668 eV/atom

a = 6.8670 Å, b = 6.8670 Å, c = 6.8670 Å
α = 60.07°, β = 60.07°, γ = 60.07°
Fractional coordinates of all 13 atoms:
Ca  0.0000  0.0000  0.0000
Sb  0.0000  0.0000  0.5000
Sb  0.0000  0.5000  0.0000
Sb  0.5000  0.0000  0.0000
Sb  0.5000  0.5000  0.5000
O  0.2115  0.7466  0.7466
O  0.2247  0.2247  0.2247
O  0.2534  0.2534  0.7885
O  0.2534  0.7885  0.2534
O  0.7466  0.2115  0.7466
O  0.7466  0.7466  0.2115
O  0.7753  0.7753  0.7753
O  0.7885  0.2534  0.2534

---

# 4
Material: CaSb2O4
Method: DFT, GGA-PBE
State: relaxed

* energy relative to the elements: -1.923 eV/atom

a = 6.9441 Å, b = 6.9441 Å, c = 6.9441 Å
α = 60.00°, β = 60.00°, γ = 60.00°
Fractional coordinates of all 14 atoms:
Ca  0.1250  0.1250  0.1250
Ca  0.8750  0.8750  0.8750
Sb  0.0000  0.5000  0.5000
Sb  0.5000  0.0000  0.5000
Sb  0.5000  0.5000  0.0000
Sb  0.5000  0.5000  0.5000
O  0.2594  0.2594  0.2594
O  0.2594  0.2594  0.7218
O  0.2594  0.7218  0.2594
O  0.2782  0.7406  0.7406
O  0.7218  0.2594  0.2594
O  0.7406  0.2782  0.7406
O  0.7406  0.7406  0.2782
O  0.7406  0.7406  0.7406

---

# 5
Material: Ca2Sb2O5
Method: DFT, GGA-PBE
State: relaxed

* energy relative to the elements: -2.334 eV/atom

a = 6.4023 Å, b = 10.3006 Å, c = 4.2719 Å
α = 90.00°, β = 90.00°, γ = 90.00°
Fractional coordinates of all 18 atoms:
Ca  0.1604  0.1393  0.0000
Ca  0.3396  0.6393  0.0000
Ca  0.6604  0.3607  0.0000
Ca  0.8396  0.8607  0.0000
Sb  0.2189  0.3923  0.5000
Sb  0.2811  0.8923  0.5000
Sb  0.7189  0.1077  0.5000
Sb  0.7811  0.6077  0.5000
O  0.0000  0.0000  0.5000
O  0.1817  0.7091  0.5000
O  0.2135  0.8783  0.0000
O  0.2865  0.3783  0.0000
O  0.3183  0.2091  0.5000
O  0.5000  0.5000  0.5000
O  0.6817  0.7909  0.5000
O  0.7135  0.6217  0.0000
O  0.7865  0.1217  0.0000
O  0.8183  0.2909  0.5000

---

# 6
Material: CaSb2O4
Method: DFT, GGA-PBE
State: relaxed

* energy relative to the elements: -1.927 eV/atom

a = 6.8694 Å, b = 12.1385 Å, c = 5.7687 Å
α = 90.00°, β = 90.00°, γ = 90.00°
Fractional coordinates of all 28 atoms:
Ca  0.2500  0.2500  0.0411
Ca  0.2500  0.7500  0.3690
Ca  0.7500  0.2500  0.6310
Ca  0.7500  0.7500  0.9589
Sb  0.0000  0.0000  0.5000
Sb  0.0000  0.5000  0.5000
Sb  0.2500  0.5419  0.9978
Sb  0.2500  0.9581  0.9978
Sb  0.5000  0.0000  0.5000
Sb  0.5000  0.5000  0.5000
Sb  0.7500  0.0419  0.0022
Sb  0.7500  0.4581  0.0022
O  0.0386  0.6274  0.1680
O  0.0386  0.8726  0.1680
O  0.2500  0.0953  0.3224
O  0.2500  0.4047  0.3224
O  0.2500  0.6167  0.6568
O  0.2500  0.8833  0.6568
O  0.4614  0.6274  0.1680
O  0.4614  0.8726  0.1680
O  0.5386  0.1274  0.8320
O  0.5386  0.3726  0.8320
O  0.7500  0.1167  0.3432
O  0.7500  0.3833  0.3432
O  0.7500  0.5953  0.6776
O  0.7500  0.9047  0.6776
O  0.9614  0.1274  0.8320
O  0.9614  0.3726  0.8320

---

# 7
Material: CaSb2O4
Method: DFT, GGA-PBE
State: relaxed

* energy relative to the elements: -2.083 eV/atom

a = 10.0161 Å, b = 3.2330 Å, c = 13.5355 Å
α = 90.00°, β = 90.00°, γ = 90.00°
Fractional coordinates of all 28 atoms:
Ca  0.2374  0.2500  0.1457
Ca  0.2626  0.7500  0.6457
Ca  0.7374  0.2500  0.3543
Ca  0.7626  0.7500  0.8543
Sb  0.0668  0.2500  0.3516
Sb  0.0820  0.2500  0.8932
Sb  0.4180  0.7500  0.3932
Sb  0.4332  0.7500  0.8516
Sb  0.5668  0.2500  0.1484
Sb  0.5820  0.2500  0.6068
Sb  0.9180  0.7500  0.1068
Sb  0.9332  0.7500  0.6484
O  0.0336  0.7500  0.7978
O  0.0812  0.2500  0.6299
O  0.1044  0.7500  0.0545
O  0.1717  0.7500  0.2695
O  0.3283  0.2500  0.7695
O  0.3956  0.2500  0.5545
O  0.4188  0.7500  0.1299
O  0.4664  0.2500  0.2978
O  0.5336  0.7500  0.7022
O  0.5812  0.2500  0.8701
O  0.6044  0.7500  0.4455
O  0.6717  0.7500  0.2305
O  0.8283  0.2500  0.7305
O  0.8956  0.2500  0.9455
O  0.9188  0.7500  0.3701
O  0.9664  0.2500  0.2022

---

# 8
Material: CaSb2O4
Method: DFT, GGA-PBE
State: relaxed

* energy relative to the elements: -2.089 eV/atom

a = 7.0102 Å, b = 7.0102 Å, c = 23.7666 Å
α = 101.46°, β = 101.46°, γ = 55.18°
Fractional coordinates of all 56 atoms:
Ca  0.0000  0.0000  0.0000
Ca  0.0266  0.0266  0.5975
Ca  0.1490  0.1490  0.8884
Ca  0.2730  0.2730  0.3616
Ca  0.2946  0.2946  0.7708
Ca  0.5104  0.5104  0.5149
Ca  0.7285  0.7285  0.2467
Ca  0.8812  0.8812  0.1370
Sb  0.0054  0.5182  0.0157
Sb  0.0142  0.5159  0.5158
Sb  0.2127  0.2127  0.1604
Sb  0.2419  0.7422  0.2627
Sb  0.2935  0.7952  0.7573
Sb  0.3842  0.3842  0.6369
Sb  0.4769  0.4769  0.9111
Sb  0.5159  0.0142  0.5158
Sb  0.5182  0.0054  0.0157
Sb  0.5429  0.5429  0.0949
Sb  0.6099  0.6099  0.3859
Sb  0.7422  0.2419  0.2627
Sb  0.7520  0.7520  0.6831
Sb  0.7952  0.2935  0.7573
Sb  0.8146  0.8146  0.8558
Sb  0.9546  0.9546  0.4244
O  0.0168  0.0168  0.8045
O  0.0386  0.0386  0.2180
O  0.0706  0.5425  0.1980
O  0.0986  0.0986  0.7082
O  0.1006  0.6348  0.7115
O  0.1377  0.7019  0.0647
O  0.1968  0.1968  0.5526
O  0.2020  0.6247  0.5738
O  0.2146  0.2146  0.0680
O  0.2916  0.2916  0.9704
O  0.3026  0.8040  0.4466
O  0.3174  0.3174  0.4675
O  0.3171  0.8196  0.9409
O  0.4174  0.8847  0.3228
O  0.4505  0.4505  0.3446
O  0.4657  0.9685  0.8271
O  0.4754  0.4754  0.8247
O  0.5425  0.0706  0.1980
O  0.5449  0.5449  0.6626
O  0.5647  0.5647  0.1802
O  0.6247  0.2020  0.5738
O  0.6348  0.1006  0.7115
O  0.7019  0.1377  0.0647
O  0.7045  0.7045  0.0925
O  0.7284  0.7284  0.5957
O  0.8040  0.3026  0.4466
O  0.8196  0.3171  0.9409
O  0.8238  0.8238  0.9415
O  0.8847  0.4174  0.3228
O  0.9089  0.9089  0.4990
O  0.9237  0.9237  0.2980
O  0.9685  0.4657  0.8271

---

# 9
Material: CaSb2O4
Method: DFT, GGA-PBE
State: relaxed

* energy relative to the elements: -2.161 eV/atom

a = 6.7527 Å, b = 6.7607 Å, c = 18.0479 Å
α = 89.98°, β = 87.55°, γ = 65.33°
Fractional coordinates of all 42 atoms:
Ca  0.0000  0.0000  0.0000
Ca  0.0052  0.0081  0.7231
Ca  0.3864  0.3901  0.3105
Ca  0.6476  0.6412  0.4264
Ca  0.6611  0.7176  0.6666
Ca  0.6965  0.7153  0.0228
Sb  0.9999  0.0169  0.3684
Sb  0.0048  0.5273  0.8556
Sb  0.1446  0.1866  0.5630
Sb  0.1678  0.6765  0.5016
Sb  0.2859  0.3575  0.7043
Sb  0.3289  0.4105  0.0973
Sb  0.3589  0.8430  0.1958
Sb  0.5090  0.4737  0.9090
Sb  0.5581  0.9659  0.8474
Sb  0.6312  0.2552  0.5305
Sb  0.8522  0.8989  0.1680
Sb  0.8678  0.3925  0.2340
O  0.0208  0.4464  0.6374
O  0.0408  0.6611  0.0737
O  0.0828  0.0162  0.1392
O  0.1034  0.2387  0.3115
O  0.1188  0.2533  0.7777
O  0.1233  0.6508  0.7629
O  0.1996  0.6915  0.2456
O  0.2574  0.8885  0.4389
O  0.3199  0.0100  0.6462
O  0.3886  0.4391  0.4370
O  0.3894  0.7772  0.9499
O  0.3895  0.3479  0.9903
O  0.4955  0.6079  0.1142
O  0.6008  0.5496  0.5580
O  0.6314  0.5798  0.3045
O  0.6637  0.0300  0.7482
O  0.6898  0.0411  0.0791
O  0.7014  0.6426  0.8075
O  0.7139  0.1915  0.2391
O  0.8070  0.3846  0.9501
O  0.8262  0.8652  0.9094
O  0.8403  0.2561  0.4466
O  0.9042  0.7703  0.4433
O  0.9090  0.0922  0.5948

---

# 10
Material: CaSb3O7
Method: DFT, GGA-PBE
State: relaxed

* energy relative to the elements: -2.027 eV/atom

a = 11.0488 Å, b = 10.8690 Å, c = 5.6631 Å
α = 90.00°, β = 90.00°, γ = 90.00°
Fractional coordinates of all 44 atoms:
Ca  0.1438  0.2500  0.1765
Ca  0.3562  0.7500  0.6765
Ca  0.6438  0.2500  0.3235
Ca  0.8562  0.7500  0.8235
Sb  0.1299  0.0048  0.6219
Sb  0.1299  0.4952  0.6219
Sb  0.1533  0.7500  0.1742
Sb  0.3467  0.2500  0.6742
Sb  0.3701  0.5048  0.1219
Sb  0.3701  0.9952  0.1219
Sb  0.6299  0.0048  0.8781
Sb  0.6299  0.4952  0.8781
Sb  0.6533  0.7500  0.3258
Sb  0.8467  0.2500  0.8258
Sb  0.8701  0.5048  0.3781
Sb  0.8701  0.9952  0.3781
O  0.0178  0.2500  0.8479
O  0.0361  0.0832  0.3501
O  0.0361  0.4168  0.3501
O  0.2090  0.6310  0.4301
O  0.2090  0.8690  0.4301
O  0.2216  0.6256  0.9499
O  0.2216  0.8744  0.9499
O  0.2784  0.1256  0.4499
O  0.2784  0.3744  0.4499
O  0.2910  0.1310  0.9301
O  0.2910  0.3690  0.9301
O  0.4639  0.5832  0.8501
O  0.4639  0.9168  0.8501
O  0.4822  0.7500  0.3479
O  0.5178  0.2500  0.6521
O  0.5361  0.0832  0.1499
O  0.5361  0.4168  0.1499
O  0.7090  0.6310  0.0699
O  0.7090  0.8690  0.0699
O  0.7216  0.6256  0.5501
O  0.7216  0.8744  0.5501
O  0.7784  0.1256  0.0501
O  0.7784  0.3744  0.0501
O  0.7910  0.1310  0.5699
O  0.7910  0.3690  0.5699
O  0.9639  0.5832  0.6499
O  0.9639  0.9168  0.6499
O  0.9822  0.7500  0.1521